# 1
PBE-GGA ZrSn, optimized geometry; space group = Amm2; energy relative to the elements = -0.48 eV/f.u.
1.0
-6.692 4.111 2.158
2.705 -7.665 -0.515
1.844 0.306 5.135
Zr Sn
5 5
Direct
0.017 0.213 0.000
0.249 0.249 0.500
0.844 0.640 0.500
0.640 0.844 0.500
0.213 0.017 0.000
0.858 0.458 0.000
0.033 0.423 0.500
0.599 0.599 0.000
0.458 0.858 0.000
0.423 0.033 0.500

***

# 2
PBE-GGA GaPO4, optimized geometry; largest piezoelectric modulus = 0.267 C/m²; space group = P3_121; energy relative to the elements = -15.49 eV/f.u.
1.0
-4.942 0.360 0.733
2.008 -4.358 -1.438
1.385 -2.916 10.774
Ga P O
3 3 12
Direct
0.539 0.539 0.000
0.000 0.461 0.667
0.461 0.000 0.333
0.538 0.538 0.500
0.000 0.462 0.167
0.462 0.000 0.833
0.267 0.412 0.126
0.588 0.854 0.459
0.146 0.733 0.792
0.854 0.588 0.541
0.733 0.146 0.208
0.412 0.267 0.874
0.408 0.311 0.394
0.689 0.097 0.728
0.903 0.592 0.061
0.097 0.689 0.272
0.592 0.903 0.939
0.311 0.408 0.606

***

# 3
PBE-GGA SiPd2, optimized geometry; space group = P-62m; energy relative to the elements = -0.65 eV/f.u.
1.0
-3.168 2.549 -6.662
-0.906 -7.447 2.153
-2.340 0.682 1.374
Si Pd
3 6
Direct
0.000 0.000 0.500
0.667 0.333 0.000
0.333 0.667 0.000
0.000 0.249 0.000
0.598 0.000 0.000
0.751 0.751 0.000
0.000 0.598 0.000
0.402 0.402 0.000
0.249 0.000 0.000

***

# 4
PBE-GGA As3P3Pb10Cl2O24, optimized geometry; space group = P-6; energy relative to the elements = -83.72 eV/f.u.
1.0
3.095 8.531 4.919
-8.640 -4.814 2.954
3.943 -4.165 4.744
As P Pb Cl O
3 3 10 2 24
Direct
0.741 0.047 0.500
0.305 0.259 0.500
0.953 0.695 0.500
0.924 0.287 0.000
0.363 0.076 0.000
0.713 0.637 0.000
0.000 0.000 0.240
0.667 0.333 0.751
0.667 0.333 0.249
0.000 0.000 0.760
0.075 0.650 0.000
0.575 0.925 0.000
0.350 0.425 0.000
0.587 0.678 0.500
0.090 0.413 0.500
0.322 0.910 0.500
0.333 0.667 0.250
0.333 0.667 0.750
0.747 0.192 0.000
0.444 0.253 0.000
0.808 0.556 0.000
0.936 0.146 0.500
0.210 0.064 0.500
0.854 0.790 0.500
0.971 0.391 0.169
0.419 0.029 0.169
0.609 0.581 0.169
0.690 0.929 0.684
0.240 0.310 0.684
0.071 0.760 0.684
0.690 0.929 0.316
0.240 0.310 0.316
0.071 0.760 0.316
0.971 0.391 0.831
0.419 0.029 0.831
0.609 0.581 0.831
0.992 0.182 0.000
0.190 0.008 0.000
0.818 0.810 0.000
0.666 0.162 0.500
0.496 0.334 0.500
0.838 0.504 0.500